No. 1
Here is an optimized crystal structure of Nb3Ni from the Materials Project. Energies are from PBE.

ρ in g/cm3: 8.5
Magnetization in Bohr magnetons per cell: 0.03
V in Å³ per atom: 16.47
Total DFT energy (no corrections) in eV per cell: -143.81
Energy relative to the elements in eV per atom: 0.0328

Cell and atoms, written as CIF:
```
data_Nb3Ni
_chemical_formula_sum 'Nb12 Ni4'
_symmetry_space_group_name_H-M 'F m -3 m'
_symmetry_Int_Tables_number 225
_symmetry_space_group_name_Hall '-F 4 2 3'
_cell_length_a 6.411
_cell_length_b 6.411
_cell_length_c 6.411
_cell_angle_alpha 90.00
_cell_angle_beta 90.00
_cell_angle_gamma 90.00
loop_
_atom_site_label
_atom_site_type_symbol
_atom_site_fract_x
_atom_site_fract_y
_atom_site_fract_z
Nb1 Nb 0.000 0.000 0.000
Nb2 Nb 0.250 0.250 0.250
Ni1 Ni 0.000 0.000 0.500
```


No. 2
Here is an optimized crystal structure of BiSe from the Materials Project. Energies are from PBE.

ρ in g/cm3: 7.3
Magnetization in Bohr magnetons per cell: 0.00
V in Å³ per atom: 32.70
Polymorph energy (0 for the lowest one) in meV/atom: 162
Total DFT energy (no corrections) in eV per cell: -30.77
Energy relative to the elements in eV per atom: -0.3896

Cell and atoms, written as CIF:
```
data_BiSe
_chemical_formula_sum 'Bi4 Se4'
_symmetry_space_group_name_H-M 'P 1 21/c 1'
_symmetry_Int_Tables_number 14
_cell_length_a 4.967
_cell_length_b 8.946
_cell_length_c 7.446
_cell_angle_alpha 90.00
_cell_angle_beta 127.75
_cell_angle_gamma 90.00
loop_
_symmetry_equiv_pos_as_xyz
'x,y,z'
'-x,-y,-z'
'-x,y+1/2,-z+1/2'
'x,-y+1/2,z+1/2'
loop_
_atom_site_label
_atom_site_type_symbol
_atom_site_fract_x
_atom_site_fract_y
_atom_site_fract_z
Bi1 Bi 0.099 0.133 0.408
Se1 Se 0.337 0.654 0.628
```


No. 3
Here is an optimized crystal structure of SrEuPt2 from the Materials Project. Energies are from PBE.

ρ in g/cm3: 10.8
Magnetization in Bohr magnetons per cell: 27.62
V in Å³ per atom: 24.24
Total DFT energy (no corrections) in eV per cell: -109.09
Energy relative to the elements in eV per atom: -0.7958

Cell and atoms, written as CIF:
```
data_SrEuPt2
_chemical_formula_sum 'Sr4 Eu4 Pt8'
_symmetry_space_group_name_H-M 'F m -3 m'
_symmetry_Int_Tables_number 225
_symmetry_space_group_name_Hall '-F 4 2 3'
_cell_length_a 7.293
_cell_length_b 7.293
_cell_length_c 7.293
_cell_angle_alpha 90.00
_cell_angle_beta 90.00
_cell_angle_gamma 90.00
loop_
_atom_site_label
_atom_site_type_symbol
_atom_site_fract_x
_atom_site_fract_y
_atom_site_fract_z
Sr1 Sr 0.000 0.000 0.000
Eu1 Eu 0.000 0.000 0.500
Pt1 Pt 0.250 0.250 0.250
```


No. 4
Here is an optimized crystal structure of LiCuS from the Materials Project. Energies are from PBE.

ρ in g/cm3: 3.9
Magnetization in Bohr magnetons per cell: 0.00
V in Å³ per atom: 14.69
Total DFT energy (no corrections) in eV per cell: -293.97
Energy relative to the elements in eV per atom: -0.8691

Cell and atoms, written as CIF:
```
data_LiCuS
_chemical_formula_sum 'Li24 Cu24 S24'
_symmetry_space_group_name_H-M 'P b c n'
_symmetry_Int_Tables_number 60
_cell_length_a 12.380
_cell_length_b 5.300
_cell_length_c 16.118
_cell_angle_alpha 90.00
_cell_angle_beta 90.00
_cell_angle_gamma 90.00
loop_
_symmetry_equiv_pos_as_xyz
'x,y,z'
'-x,-y,-z'
'-x+1/2,-y+1/2,z+1/2'
'x+1/2,y+1/2,-z+1/2'
'x+1/2,-y+1/2,-z'
'-x+1/2,y+1/2,z'
'-x,y,-z+1/2'
'x,-y,z+1/2'
loop_
_atom_site_label
_atom_site_type_symbol
_atom_site_fract_x
_atom_site_fract_y
_atom_site_fract_z
Li1 Li 0.075 0.167 0.163
Li2 Li 0.078 0.231 0.489
Li3 Li 0.078 0.340 0.822
Cu1 Cu 0.235 0.097 0.903
Cu2 Cu 0.238 0.469 0.572
Cu3 Cu 0.242 0.405 0.234
S1 S 0.118 0.300 0.669
S2 S 0.121 0.244 0.005
S3 S 0.126 0.204 0.332
```